Record 1
# LiMnP2O7 (PBE with a Hubbard U, optimized geometry)
data_LiMnP2O7
_cell_length_a 9.737
_cell_length_b 9.905
_cell_length_c 11.149
_cell_angle_alpha 79.10
_cell_angle_beta 89.70
_cell_angle_gamma 89.19
_symmetry_space_group_name_H-M 'P 1'
_symmetry_Int_Tables_number 1
_symmetry_space_group_name_Hall 'P 1'
loop_
_atom_site_label
_atom_site_fract_x
_atom_site_fract_y
_atom_site_fract_z
_atom_site_occupancy
Li1 0.000 0.000 0.000 1
Li2 0.022 0.503 0.469 1
Li3 0.225 0.289 0.942 1
Li4 0.328 0.008 0.468 1
Li5 0.404 0.516 0.989 1
Li6 0.551 0.832 0.511 1
Li7 0.588 0.268 0.525 1
Li8 0.710 0.018 0.040 1
Mn1 0.008 0.215 0.159 1
Mn2 0.154 0.703 0.648 1
Mn3 0.211 0.206 0.647 1
Mn4 0.366 0.711 0.160 1
Mn5 0.514 0.100 0.828 1
Mn6 0.665 0.638 0.329 1
Mn7 0.724 0.156 0.315 1
Mn8 0.855 0.598 0.833 1
P1 0.004 0.350 0.734 1
P2 0.005 0.954 0.724 1
P3 0.083 0.535 0.055 1
P4 0.151 0.791 0.367 1
P5 0.216 0.298 0.364 1
P6 0.298 0.032 0.062 1
P7 0.370 0.452 0.724 1
P8 0.372 0.852 0.733 1
P9 0.488 0.392 0.240 1
P10 0.511 0.977 0.251 1
P11 0.586 0.773 0.925 1
P12 0.647 0.538 0.612 1
P13 0.727 0.034 0.610 1
P14 0.790 0.274 0.920 1
P15 0.858 0.487 0.241 1
P16 0.880 0.895 0.246 1
O1 0.000 0.619 0.951 1
O2 0.004 0.498 0.760 1
O3 0.018 0.343 0.600 1
O4 0.027 0.946 0.857 1
O5 0.028 0.824 0.269 1
O6 0.091 0.379 0.050 1
O7 0.092 0.691 0.481 1
O8 0.108 0.044 0.638 1
O9 0.116 0.211 0.302 1
O10 0.127 0.259 0.795 1
O11 0.155 0.098 0.069 1
O12 0.164 0.431 0.388 1
O13 0.196 0.923 0.397 1
O14 0.226 0.588 0.072 1
O15 0.249 0.761 0.784 1
O16 0.255 0.711 0.302 1
O17 0.270 0.546 0.639 1
O18 0.278 0.200 0.480 1
O19 0.292 0.881 0.055 1
O20 0.340 0.436 0.859 1
O21 0.341 0.321 0.269 1
O22 0.367 0.000 0.763 1
O23 0.374 0.046 0.186 1
O24 0.376 0.124 0.956 1
O25 0.379 0.310 0.680 1
O26 0.381 0.853 0.598 1
O27 0.481 0.538 0.277 1
O28 0.495 0.686 0.023 1
O29 0.504 0.993 0.384 1
O30 0.506 0.777 0.797 1
O31 0.511 0.391 0.108 1
O32 0.516 0.523 0.705 1
O33 0.521 0.829 0.229 1
O34 0.587 0.301 0.334 1
O35 0.597 0.922 0.942 1
O36 0.602 0.645 0.496 1
O37 0.614 0.109 0.675 1
O38 0.630 0.070 0.189 1
O39 0.661 0.191 0.910 1
O40 0.681 0.402 0.582 1
O41 0.693 0.893 0.593 1
O42 0.724 0.709 0.907 1
O43 0.738 0.582 0.181 1
O44 0.755 0.141 0.491 1
O45 0.755 0.603 0.683 1
O46 0.770 0.420 0.934 1
O47 0.778 0.811 0.332 1
O48 0.850 0.335 0.226 1
O49 0.853 0.511 0.372 1
O50 0.857 0.029 0.696 1
O51 0.861 0.906 0.110 1
O52 0.869 0.275 0.791 1
O53 0.882 0.186 0.021 1
O54 0.890 0.046 0.278 1
O55 0.998 0.545 0.179 1
O56 0.998 0.813 0.681 1
# * ΔE_f: -2513.9 meV per atom
# * ρ: 2.967 Mg/m³
# * space group: P1 (1)

---

Record 2
# LiMnPO4 (PBE with a Hubbard U, optimized geometry)
data_LiMnPO4
_cell_length_a 5.311
_cell_length_b 26.898
_cell_length_c 5.311
_cell_angle_alpha 90.00
_cell_angle_beta 60.00
_cell_angle_gamma 90.00
_symmetry_space_group_name_H-M 'P 1'
_symmetry_Int_Tables_number 1
_symmetry_space_group_name_Hall 'P 1'
loop_
_atom_site_label
_atom_site_fract_x
_atom_site_fract_y
_atom_site_fract_z
_atom_site_occupancy
P1 0.000 0.417 0.500 1
O1 0.405 0.051 0.819 1
Mn1 0.500 0.333 0.000 1
Mn2 0.500 0.500 0.500 1
O2 0.595 0.782 0.225 1
O3 0.405 0.782 0.775 1
P2 0.500 0.250 0.500 1
O4 0.181 0.384 0.225 1
Li1 0.000 0.250 0.000 1
Mn3 0.000 0.167 0.500 1
Li2 0.000 0.917 0.000 1
Mn4 0.000 0.667 0.500 1
Li3 0.000 0.417 0.000 1
O5 0.225 0.616 0.181 1
P3 0.500 0.583 0.000 1
O6 0.181 0.949 0.595 1
O7 0.775 0.116 0.819 1
O8 0.595 0.282 0.225 1
O9 0.819 0.949 0.405 1
O10 0.775 0.616 0.819 1
O11 0.225 0.218 0.595 1
O12 0.225 0.116 0.181 1
O13 0.595 0.551 0.181 1
O14 0.181 0.449 0.595 1
O15 0.595 0.051 0.181 1
O16 0.181 0.884 0.225 1
Li4 0.000 0.750 0.000 1
O17 0.819 0.384 0.775 1
P4 0.000 0.917 0.500 1
P5 0.500 0.750 0.500 1
P6 0.500 0.083 0.000 1
O18 0.775 0.218 0.405 1
O19 0.405 0.551 0.819 1
O20 0.775 0.718 0.405 1
O21 0.225 0.718 0.595 1
Mn5 0.500 0.000 0.500 1
Mn6 0.500 0.833 0.000 1
Li5 0.000 0.083 0.000 1
O22 0.405 0.282 0.775 1
Li6 0.000 0.583 0.000 1
O23 0.819 0.449 0.405 1
O24 0.819 0.884 0.775 1
# * ΔE_f: -2566.9 meV per atom
# * ρ: 2.378 Mg/m³
# * piezoelectric modulus e_max: 0.100 C/m²

---

Record 3
# LiMnP2O7 (PBE with a Hubbard U, optimized geometry)
data_LiMnP2O7
_cell_length_a 5.132
_cell_length_b 12.953
_cell_length_c 9.234
_cell_angle_alpha 90.00
_cell_angle_beta 120.50
_cell_angle_gamma 90.00
_symmetry_space_group_name_H-M 'P 1'
_symmetry_Int_Tables_number 1
_symmetry_space_group_name_Hall 'P 1'
loop_
_atom_site_label
_atom_site_fract_x
_atom_site_fract_y
_atom_site_fract_z
_atom_site_occupancy
Li1 0.069 0.174 0.357 1
Li2 0.069 0.326 0.857 1
Li3 0.931 0.674 0.143 1
Li4 0.931 0.826 0.643 1
Mn1 0.377 0.142 0.154 1
Mn2 0.377 0.358 0.654 1
Mn3 0.623 0.642 0.346 1
Mn4 0.623 0.858 0.846 1
P1 0.088 0.022 0.796 1
P2 0.088 0.478 0.296 1
P3 0.236 0.692 0.944 1
P4 0.236 0.808 0.444 1
P5 0.764 0.192 0.556 1
P6 0.764 0.308 0.056 1
P7 0.912 0.522 0.704 1
P8 0.912 0.978 0.204 1
O1 0.045 0.221 0.549 1
O2 0.045 0.279 0.049 1
O3 0.052 0.061 0.147 1
O4 0.052 0.439 0.647 1
O5 0.191 0.578 0.865 1
O6 0.191 0.922 0.365 1
O7 0.257 0.108 0.927 1
O8 0.257 0.392 0.427 1
O9 0.279 0.528 0.233 1
O10 0.279 0.972 0.733 1
O11 0.296 0.737 0.331 1
O12 0.296 0.763 0.831 1
O13 0.473 0.183 0.382 1
O14 0.473 0.317 0.882 1
O15 0.527 0.683 0.118 1
O16 0.527 0.817 0.618 1
O17 0.704 0.237 0.169 1
O18 0.704 0.263 0.669 1
O19 0.721 0.028 0.267 1
O20 0.721 0.472 0.767 1
O21 0.743 0.608 0.573 1
O22 0.743 0.892 0.073 1
O23 0.809 0.078 0.635 1
O24 0.809 0.422 0.135 1
O25 0.948 0.561 0.353 1
O26 0.948 0.939 0.853 1
O27 0.955 0.721 0.951 1
O28 0.955 0.779 0.451 1
# * ΔE_f: -2555.0 meV per atom
# * ρ: 2.961 Mg/m³
# * space group: P2_1/c (14)

---

Record 4
# Li3Mn2P4O14 (PBE with a Hubbard U, optimized geometry)
data_Li3Mn2P4O14
_cell_length_a 9.860
_cell_length_b 9.861
_cell_length_c 11.372
_cell_angle_alpha 89.86
_cell_angle_beta 76.78
_cell_angle_gamma 89.57
_symmetry_space_group_name_H-M 'P 1'
_symmetry_Int_Tables_number 1
_symmetry_space_group_name_Hall 'P 1'
loop_
_atom_site_label
_atom_site_fract_x
_atom_site_fract_y
_atom_site_fract_z
_atom_site_occupancy
Li1 0.000 0.000 0.000 1
Li2 0.002 0.974 0.513 1
Li3 0.062 0.670 0.502 1
Li4 0.238 0.455 0.443 1
Li5 0.299 0.130 0.941 1
Li6 0.470 0.652 0.021 1
Li7 0.534 0.343 0.919 1
Li8 0.561 0.956 0.496 1
Li9 0.736 0.170 0.441 1
Li10 0.765 0.785 0.021 1
Li11 0.796 0.474 0.427 1
Li12 0.832 0.477 0.918 1
Mn1 0.352 0.643 0.795 1
Mn2 0.390 0.849 0.296 1
Mn3 0.403 0.351 0.645 1
Mn4 0.448 0.139 0.145 1
Mn5 0.853 0.989 0.796 1
Mn6 0.895 0.779 0.295 1
Mn7 0.908 0.281 0.645 1
Mn8 0.946 0.484 0.144 1
P1 0.030 0.712 0.891 1
P2 0.033 0.271 0.362 1
P3 0.087 0.494 0.713 1
P4 0.128 0.015 0.226 1
P5 0.174 0.113 0.717 1
P6 0.211 0.633 0.230 1
P7 0.270 0.854 0.581 1
P8 0.271 0.418 0.045 1
P9 0.528 0.916 0.896 1
P10 0.529 0.354 0.357 1
P11 0.588 0.133 0.712 1
P12 0.623 0.614 0.226 1
P13 0.672 0.518 0.714 1
P14 0.711 0.994 0.227 1
P15 0.767 0.772 0.581 1
P16 0.771 0.213 0.047 1
O1 0.024 0.100 0.687 1
O2 0.028 0.643 0.764 1
O3 0.043 0.923 0.325 1
O4 0.060 0.164 0.250 1
O5 0.067 0.651 0.199 1
O6 0.089 0.499 0.580 1
O7 0.122 0.413 0.032 1
O8 0.128 0.984 0.098 1
O9 0.130 0.837 0.550 1
O10 0.166 0.134 0.849 1
O11 0.169 0.297 0.393 1
O12 0.183 0.714 0.903 1
O13 0.208 0.627 0.363 1
O14 0.232 0.478 0.742 1
O15 0.254 0.218 0.628 1
O16 0.254 0.971 0.683 1
O17 0.273 0.488 0.174 1
O18 0.282 0.021 0.249 1
O19 0.321 0.739 0.168 1
O20 0.326 0.733 0.640 1
O21 0.336 0.276 0.051 1
O22 0.373 0.503 0.949 1
O23 0.378 0.908 0.468 1
O24 0.421 0.410 0.468 1
O25 0.437 0.009 0.991 1
O26 0.467 0.775 0.886 1
O27 0.474 0.234 0.298 1
O28 0.484 0.243 0.778 1
O29 0.517 0.528 0.696 1
O30 0.532 0.987 0.767 1
O31 0.538 0.717 0.315 1
O32 0.547 0.471 0.252 1
O33 0.565 0.975 0.201 1
O34 0.586 0.128 0.580 1
O35 0.617 0.225 0.035 1
O36 0.629 0.645 0.094 1
O37 0.630 0.799 0.551 1
O38 0.670 0.336 0.388 1
O39 0.675 0.477 0.842 1
O40 0.680 0.903 0.909 1
O41 0.716 0.997 0.359 1
O42 0.734 0.153 0.739 1
O43 0.741 0.664 0.695 1
O44 0.756 0.424 0.614 1
O45 0.766 0.142 0.176 1
O46 0.772 0.599 0.253 1
O47 0.816 0.887 0.158 1
O48 0.827 0.356 0.057 1
O49 0.839 0.892 0.629 1
O50 0.861 0.122 0.952 1
O51 0.872 0.700 0.474 1
O52 0.926 0.201 0.469 1
O53 0.929 0.629 0.988 1
O54 0.961 0.392 0.313 1
O55 0.970 0.855 0.886 1
O56 0.978 0.391 0.778 1
# * ΔE_f: -2592.9 meV per atom
# * ρ: 2.953 Mg/m³
# * space group: P1 (1)

---

Record 5
# LiMnP2O7 (PBE with a Hubbard U, optimized geometry)
data_LiMnP2O7
_cell_length_a 5.006
_cell_length_b 6.062
_cell_length_c 8.983
_cell_angle_alpha 74.72
_cell_angle_beta 88.33
_cell_angle_gamma 87.59
_symmetry_space_group_name_H-M 'P 1'
_symmetry_Int_Tables_number 1
_symmetry_space_group_name_Hall 'P 1'
loop_
_atom_site_label
_atom_site_fract_x
_atom_site_fract_y
_atom_site_fract_z
_atom_site_occupancy
Li1 0.205 0.301 0.029 1
Li2 0.795 0.699 0.971 1
Mn1 0.251 0.967 0.748 1
Mn2 0.749 0.033 0.252 1
P1 0.222 0.289 0.366 1
P2 0.277 0.745 0.163 1
P3 0.723 0.255 0.837 1
P4 0.778 0.711 0.634 1
O1 0.066 0.735 0.683 1
O2 0.084 0.948 0.167 1
O3 0.209 0.638 0.034 1
O4 0.249 0.565 0.330 1
O5 0.280 0.195 0.533 1
O6 0.421 0.214 0.252 1
O7 0.430 0.176 0.853 1
O8 0.570 0.824 0.147 1
O9 0.579 0.786 0.748 1
O10 0.720 0.805 0.467 1
O11 0.751 0.435 0.670 1
O12 0.791 0.362 0.966 1
O13 0.916 0.052 0.833 1
O14 0.934 0.265 0.317 1
# * ΔE_f: -2555.1 meV per atom
# * ρ: 2.982 Mg/m³
# * space group: P-1 (2)

---

Record 6
# Li3Mn2P4O14 (PBE with a Hubbard U, optimized geometry)
data_Li3Mn2P4O14
_cell_length_a 5.071
_cell_length_b 7.004
_cell_length_c 8.337
_cell_angle_alpha 89.68
_cell_angle_beta 88.73
_cell_angle_gamma 71.75
_symmetry_space_group_name_H-M 'P 1'
_symmetry_Int_Tables_number 1
_symmetry_space_group_name_Hall 'P 1'
loop_
_atom_site_label
_atom_site_fract_x
_atom_site_fract_y
_atom_site_fract_z
_atom_site_occupancy
Li1 0.000 0.000 0.000 1
Li2 0.108 0.569 0.691 1
Li3 0.657 0.320 0.492 1
Mn1 0.057 0.929 0.347 1
Mn2 0.627 0.390 0.866 1
P1 0.046 0.579 0.073 1
P2 0.225 0.134 0.663 1
P3 0.430 0.184 0.177 1
P4 0.633 0.744 0.554 1
O1 0.032 0.153 0.808 1
O2 0.067 0.137 0.505 1
O3 0.207 0.590 0.915 1
O4 0.219 0.063 0.179 1
O5 0.248 0.419 0.193 1
O6 0.375 0.294 0.657 1
O7 0.456 0.733 0.414 1
O8 0.458 0.917 0.679 1
O9 0.585 0.153 0.016 1
O10 0.619 0.145 0.321 1
O11 0.716 0.549 0.655 1
O12 0.787 0.522 0.047 1
O13 0.911 0.784 0.516 1
O14 0.983 0.781 0.163 1
# * ΔE_f: -2616.6 meV per atom
# * ρ: 2.826 Mg/m³
# * space group: P1 (1)
# * piezoelectric modulus e_max: 1.487 C/m²

---

Record 7
# LiMn2P3O12 (PBE with a Hubbard U, optimized geometry)
data_LiMn2P3O12
_cell_length_a 8.414
_cell_length_b 8.414
_cell_length_c 8.428
_cell_angle_alpha 119.98
_cell_angle_beta 119.98
_cell_angle_gamma 60.12
_symmetry_space_group_name_H-M 'P 1'
_symmetry_Int_Tables_number 1
_symmetry_space_group_name_Hall 'P 1'
loop_
_atom_site_label
_atom_site_fract_x
_atom_site_fract_y
_atom_site_fract_z
_atom_site_occupancy
Li1 0.000 0.500 0.000 1
Li2 0.500 0.000 0.500 1
Mn1 0.139 0.639 0.858 1
Mn2 0.361 0.861 0.642 1
Mn3 0.639 0.139 0.358 1
Mn4 0.861 0.361 0.142 1
P1 0.037 0.963 0.250 1
P2 0.251 0.461 0.464 1
P3 0.461 0.251 0.964 1
P4 0.539 0.749 0.036 1
P5 0.749 0.539 0.536 1
P6 0.963 0.037 0.750 1
O1 0.007 0.131 0.201 1
O2 0.055 0.767 0.079 1
O3 0.082 0.446 0.266 1
O4 0.131 0.007 0.701 1
O5 0.194 0.488 0.625 1
O6 0.233 0.945 0.421 1
O7 0.264 0.421 0.947 1
O8 0.305 0.629 0.502 1
O9 0.371 0.695 0.998 1
O10 0.421 0.264 0.447 1
O11 0.446 0.082 0.766 1
O12 0.488 0.194 0.125 1
O13 0.512 0.806 0.875 1
O14 0.554 0.918 0.234 1
O15 0.579 0.736 0.553 1
O16 0.629 0.305 0.002 1
O17 0.695 0.371 0.498 1
O18 0.736 0.579 0.053 1
O19 0.767 0.055 0.579 1
O20 0.806 0.512 0.375 1
O21 0.869 0.993 0.299 1
O22 0.918 0.554 0.734 1
O23 0.945 0.233 0.921 1
O24 0.993 0.869 0.799 1
# * ΔE_f: -2371.1 meV per atom
# * ρ: 3.158 Mg/m³
# * space group: C2/c (15)

---

Record 8
# Li2Mn3P9O28 (PBE with a Hubbard U, optimized geometry)
data_Li2Mn3P9O28
_cell_length_a 7.084
_cell_length_b 8.889
_cell_length_c 9.181
_cell_angle_alpha 110.66
_cell_angle_beta 108.98
_cell_angle_gamma 98.48
_symmetry_space_group_name_H-M 'P 1'
_symmetry_Int_Tables_number 1
_symmetry_space_group_name_Hall 'P 1'
loop_
_atom_site_label
_atom_site_fract_x
_atom_site_fract_y
_atom_site_fract_z
_atom_site_occupancy
Li1 0.212 0.461 0.227 1
Li2 0.788 0.539 0.773 1
Mn1 0.000 0.000 0.000 1
Mn2 0.259 0.514 0.759 1
Mn3 0.741 0.486 0.241 1
P1 0.189 0.208 0.421 1
P2 0.199 0.745 0.554 1
P3 0.286 0.261 0.931 1
P4 0.343 0.819 0.107 1
P5 0.500 0.000 0.500 1
P6 0.657 0.181 0.893 1
P7 0.714 0.739 0.069 1
P8 0.801 0.255 0.446 1
P9 0.811 0.792 0.579 1
O1 0.036 0.852 0.574 1
O2 0.088 0.148 0.911 1
O3 0.099 0.592 0.383 1
O4 0.155 0.209 0.251 1
O5 0.215 0.637 0.978 1
O6 0.227 0.312 0.785 1
O7 0.264 0.954 0.066 1
O8 0.272 0.709 0.710 1
O9 0.282 0.068 0.458 1
O10 0.311 0.386 0.560 1
O11 0.381 0.835 0.292 1
O12 0.393 0.872 0.571 1
O13 0.402 0.408 0.108 1
O14 0.431 0.143 0.896 1
O15 0.569 0.857 0.104 1
O16 0.598 0.592 0.892 1
O17 0.607 0.128 0.429 1
O18 0.619 0.165 0.708 1
O19 0.689 0.614 0.440 1
O20 0.718 0.932 0.542 1
O21 0.728 0.291 0.290 1
O22 0.736 0.046 0.934 1
O23 0.773 0.688 0.215 1
O24 0.785 0.363 0.022 1
O25 0.845 0.791 0.749 1
O26 0.901 0.408 0.617 1
O27 0.912 0.852 0.089 1
O28 0.964 0.148 0.426 1
# * ΔE_f: -2507.5 meV per atom
# * ρ: 3.077 Mg/m³
# * space group: P-1 (2)